i | Computed, not measured: a geometry-optimized CaMn4O8 structure at the GGA+U level of DFT.

Unit cell a=5.9906 b=5.9906 c=16.8925 alpha=90.00 beta=90.00 gamma=120.00
Space group R-3m (No. 166, hexagonal axes)
Inequivalent atoms, fractional coordinates:
Ca (0.0000, 0.0000, 0.0000) [3 per cell]
Mn (0.0000, 0.0000, 0.5000) [3 per cell]
Mn (0.0000, 0.5000, 0.5000) [9 per cell]
O (0.0000, 0.0000, 0.2250) [6 per cell]
O (0.0286, 0.5143, 0.7728) [18 per cell]

=====

ii | Computed, not measured: a geometry-optimized CaMn4O8 structure at the GGA+U level of DFT.

Unit cell a=5.835 b=5.877 c=5.973 alpha=89.40 beta=62.43 gamma=74.00
Space group P-1 (No. 2)
Inequivalent atoms, fractional coordinates:
Ca (0.000, 0.000, 0.000) [1 per cell]
Mn (0.001, 0.499, 0.746) [2 per cell]
Mn (0.491, 0.525, 0.255) [2 per cell]
O (0.213, 0.313, 0.906) [2 per cell]
O (0.221, 0.333, 0.400) [2 per cell]
O (0.246, 0.691, 0.134) [2 per cell]
O (0.254, 0.682, 0.652) [2 per cell]

=====

Winner for stability: ii

=====

i | Computed, not measured: a geometry-optimized CaMnP2O7 structure at the GGA+U level of DFT.

Unit cell a=7.461 b=8.978 c=9.344 alpha=90.00 beta=115.57 gamma=90.00
Space group P2_1/c (No. 14)
Inequivalent atoms, fractional coordinates:
Ca (0.213, 0.053, 0.348) [4 per cell]
Mn (0.272, 0.069, 0.886) [4 per cell]
P (0.035, 0.739, 0.970) [4 per cell]
P (0.442, 0.728, 0.259) [4 per cell]
O (0.024, 0.110, 0.650) [4 per cell]
O (0.068, 0.614, 0.401) [4 per cell]
O (0.107, 0.245, 0.952) [4 per cell]
O (0.243, 0.676, 0.104) [4 per cell]
O (0.399, 0.239, 0.304) [4 per cell]
O (0.405, 0.627, 0.824) [4 per cell]
O (0.480, 0.595, 0.374) [4 per cell]

=====

ii | Computed, not measured: a geometry-optimized CaMnP2O7 structure at the GGA+U level of DFT.

Unit cell a=6.635 b=6.667 c=6.819 alpha=66.26 beta=86.18 gamma=82.37
Space group P-1 (No. 2)
Inequivalent atoms, fractional coordinates:
Ca (0.142, 0.226, 0.330) [2 per cell]
Mn (0.350, 0.397, 0.733) [2 per cell]
P (0.146, 0.728, 0.248) [2 per cell]
P (0.369, 0.860, 0.828) [2 per cell]
O (0.019, 0.397, 0.784) [2 per cell]
O (0.070, 0.881, 0.360) [2 per cell]
O (0.227, 0.891, 0.021) [2 per cell]
O (0.266, 0.709, 0.758) [2 per cell]
O (0.326, 0.553, 0.362) [2 per cell]
O (0.369, 0.096, 0.660) [2 per cell]
O (0.418, 0.241, 0.077) [2 per cell]

=====

Winner for stability: ii